No. 1
CsFeCl4 | PBE | relaxed

Crystal system: orthorhombic
ΔH_f (0 K): -1.68 eV/atom
Energy with MP2020 corrections: -4.475 eV per atom

a = 11.8656 Å, b = 7.3822 Å, c = 9.7869 Å
α = 90.00°, β = 90.00°, γ = 90.00°
Last column: nearest neighbours and their distance in Å.
Space group Pnma (No. 62)
Symmetry-distinct sites (fractional):
Cs (0.1808, 0.2500, 0.1656) (multiplicity 4)  10 Cl 3.67-4.07
Fe (0.0693, 0.2500, 0.6949) (multiplicity 4)  4 Cl 2.20-2.22
Cl (0.0836, 0.0071, 0.8274) (multiplicity 8)  1 Fe 2.22
Cl (0.0958, 0.7500, 0.4068) (multiplicity 4)  1 Fe 2.20
Cl (0.2118, 0.2500, 0.5501) (multiplicity 4)  1 Fe 2.21

No. 2
Cs4FeSbCl12 | PBE | relaxed

Crystal system: tetragonal
ΔH_f (0 K): -1.73 eV/atom
Size of the total moment: 1.00 μB/cell
Energy with MP2020 corrections: -3.859 eV per atom

a = 7.4005 Å, b = 7.4005 Å, c = 10.6085 Å
α = 90.00°, β = 90.00°, γ = 90.00°
Last column: nearest neighbours and their distance in Å.
Space group P4/mmm (No. 123)
Symmetry-distinct sites (fractional):
Cs (0.0000, 0.5000, 0.2425) (multiplicity 4)  12 Cl 3.68-3.78
Fe (0.0000, 0.0000, 0.0000) (multiplicity 1)  6 Cl 2.27-2.28
Sb (0.5000, 0.5000, 0.5000) (multiplicity 1)  6 Cl 2.53-2.55
Cl (0.0000, 0.0000, 0.2143) (multiplicity 2)  1 Fe 2.27
Cl (0.2178, 0.2178, 0.0000) (multiplicity 4)  1 Fe 2.28
Cl (0.2581, 0.2581, 0.5000) (multiplicity 4)  1 Sb 2.53
Cl (0.5000, 0.5000, 0.2596) (multiplicity 2)  1 Sb 2.55

No. 3
CsGaCl4 | PBE | relaxed

Crystal system: orthorhombic
ΔH_f (0 K): -1.94 eV/atom
Energy with MP2020 corrections: -3.827 eV per atom

a = 11.9678 Å, b = 7.3329 Å, c = 9.6756 Å
α = 90.00°, β = 90.00°, γ = 90.00°
Last column: nearest neighbours and their distance in Å.
Space group Pnma (No. 62)
Symmetry-distinct sites (fractional):
Cs (0.1804, 0.2500, 0.1672) (multiplicity 4)  10 Cl 3.65-4.04
Ga (0.0698, 0.2500, 0.6926) (multiplicity 4)  4 Cl 2.19-2.22
Cl (0.0813, 0.0067, 0.8278) (multiplicity 8)  1 Ga 2.22
Cl (0.0910, 0.7500, 0.4155) (multiplicity 4)  1 Ga 2.19
Cl (0.2142, 0.2500, 0.5517) (multiplicity 4)  1 Ga 2.20

No. 4
Cs8Ga11Cl | PBE | relaxed

Crystal system: trigonal
ΔH_f (0 K): -0.37 eV/atom
Size of the total moment: 0.00 μB/cell
Energy with MP2020 corrections: -2.488 eV per atom

a = 10.1668 Å, b = 10.1668 Å, c = 51.2871 Å
α = 90.00°, β = 90.00°, γ = 120.00°
Last column: nearest neighbours and their distance in Å.
Space group R-3c (No. 167, hexagonal axes)
Symmetry-distinct sites (fractional):
Cs (0.0000, 0.0000, 0.0745) (multiplicity 12)  1 Cl 3.82, 3 Ga 3.98
Cs (0.0287, 0.4090, 0.3107) (multiplicity 36)  1 Cl 3.56, 2 Ga 3.77-3.79
Ga (0.0000, 0.0000, 0.2056) (multiplicity 12)  6 Ga 2.71-2.97
Ga (0.0000, 0.1878, 0.2500) (multiplicity 18)  6 Ga 2.69-2.97
Ga (0.0009, 0.2521, 0.7229) (multiplicity 36)  4 Ga 2.69-2.78
Cl (0.0000, 0.0000, 0.0000) (multiplicity 6)  8 Cs 3.56-3.82

No. 5
Cs2GaHgCl6 | PBE | relaxed

Crystal system: cubic
ΔH_f (0 K): -1.67 eV/atom
Size of the total moment: 0.00 μB/cell
Energy with MP2020 corrections: -3.293 eV per atom

a = 10.6642 Å, b = 10.6642 Å, c = 10.6642 Å
α = 90.00°, β = 90.00°, γ = 90.00°
Last column: nearest neighbours and their distance in Å.
Space group Fm-3m (No. 225)
Symmetry-distinct sites (fractional):
Cs (0.2500, 0.2500, 0.2500) (multiplicity 8)  12 Cl 3.78
Ga (0.0000, 0.0000, 0.0000) (multiplicity 4)  6 Cl 2.44
Hg (0.0000, 0.0000, 0.5000) (multiplicity 4)  6 Cl 2.89
Cl (0.0000, 0.0000, 0.2290) (multiplicity 24)  1 Ga 2.44

No. 6
Cs2InGaCl6 | PBE | relaxed

Crystal system: cubic
ΔH_f (0 K): -1.80 eV/atom
Size of the total moment: 0.00 μB/cell
Energy with MP2020 corrections: -3.670 eV per atom

a = 10.9365 Å, b = 10.9365 Å, c = 10.9365 Å
α = 90.00°, β = 90.00°, γ = 90.00°
Last column: nearest neighbours and their distance in Å.
Space group Fm-3m (No. 225)
Symmetry-distinct sites (fractional):
Cs (0.2500, 0.2500, 0.2500) (multiplicity 8)  12 Cl 3.87
In (0.0000, 0.0000, 0.0000) (multiplicity 4)  6 Cl 2.57
Ga (0.0000, 0.0000, 0.5000) (multiplicity 4)  6 Cl 2.90
Cl (0.0000, 0.0000, 0.2348) (multiplicity 24)  1 In 2.57

No. 7
CsK2GaCl6 | PBE | relaxed

Crystal system: cubic
ΔH_f (0 K): -1.89 eV/atom
Size of the total moment: 0.00 μB/cell
Energy with MP2020 corrections: -3.616 eV per atom

a = 11.2082 Å, b = 11.2082 Å, c = 11.2082 Å
α = 90.00°, β = 90.00°, γ = 90.00°
Last column: nearest neighbours and their distance in Å.
Space group Fm-3m (No. 225)
Symmetry-distinct sites (fractional):
Cs (0.0000, 0.0000, 0.0000) (multiplicity 4)  6 Cl 3.21
K (0.2500, 0.2500, 0.2500) (multiplicity 8)  12 Cl 3.98
Ga (0.0000, 0.0000, 0.5000) (multiplicity 4)  6 Cl 2.39
Cl (0.0000, 0.0000, 0.2866) (multiplicity 24)  1 Ga 2.39

No. 8
Cs2NaGaCl6 | PBE | relaxed

Crystal system: cubic
ΔH_f (0 K): -1.98 eV/atom
Size of the total moment: 0.00 μB/cell
Energy with MP2020 corrections: -3.707 eV per atom

a = 10.5303 Å, b = 10.5303 Å, c = 10.5303 Å
α = 90.00°, β = 90.00°, γ = 90.00°
Last column: nearest neighbours and their distance in Å.
Space group Fm-3m (No. 225)
Symmetry-distinct sites (fractional):
Cs (0.2500, 0.2500, 0.2500) (multiplicity 8)  12 Cl 3.73
Na (0.0000, 0.0000, 0.0000) (multiplicity 4)  6 Cl 2.85
Ga (0.0000, 0.0000, 0.5000) (multiplicity 4)  6 Cl 2.41
Cl (0.0000, 0.0000, 0.2708) (multiplicity 24)  1 Ga 2.41

No. 9
CsGd2Cl7 | PBE | relaxed

Crystal system: orthorhombic
ΔH_f (0 K): -2.70 eV/atom
Energy with MP2020 corrections: -6.898 eV per atom

a = 13.8058 Å, b = 7.1255 Å, c = 12.8854 Å
α = 90.00°, β = 90.00°, γ = 90.00°
Last column: nearest neighbours and their distance in Å.
Space group Pnma (No. 62)
Symmetry-distinct sites (fractional):
Cs (0.0421, 0.2500, 0.1960) (multiplicity 4)  10 Cl 3.59-3.83
Gd (0.2371, 0.2500, 0.5403) (multiplicity 4)  7 Cl 2.73-2.83
Gd (0.2503, 0.2500, 0.8438) (multiplicity 4)  7 Cl 2.73-2.77
Cl (0.1123, 0.7500, 0.1889) (multiplicity 4)  2 Gd 2.75-2.83
Cl (0.1244, 0.0090, 0.4243) (multiplicity 8)  2 Gd 2.73-2.76
Cl (0.1359, 0.0093, 0.9598) (multiplicity 8)  2 Gd 2.75-2.77
Cl (0.1767, 0.0136, 0.6937) (multiplicity 8)  2 Gd 2.73-2.76

No. 10
Cs2NaGdCl6 | PBE | relaxed

Crystal system: cubic
ΔH_f (0 K): -2.50 eV/atom
Size of the total moment: 28.00 μB/cell
Energy with MP2020 corrections: -5.324 eV per atom

a = 10.9698 Å, b = 10.9698 Å, c = 10.9698 Å
α = 90.00°, β = 90.00°, γ = 90.00°
Last column: nearest neighbours and their distance in Å.
Space group Fm-3m (No. 225)
Symmetry-distinct sites (fractional):
Cs (0.2500, 0.2500, 0.2500) (multiplicity 8)  12 Cl 3.88
Na (0.0000, 0.0000, 0.0000) (multiplicity 4)  6 Cl 2.81
Gd (0.0000, 0.0000, 0.5000) (multiplicity 4)  6 Cl 2.67
Cl (0.0000, 0.0000, 0.2562) (multiplicity 24)  1 Gd 2.67, 1 Na 2.81

No. 11
CsGeCl3 | PBE | relaxed

Crystal system: trigonal
ΔH_f (0 K): -1.71 eV/atom
Largest piezoelectric modulus: 0.63 C/m²
Energy with MP2020 corrections: -3.926 eV per atom

a = 7.7934 Å, b = 7.7934 Å, c = 9.5839 Å
α = 90.00°, β = 90.00°, γ = 120.00°
Last column: nearest neighbours and their distance in Å.
Space group R3m (No. 160, hexagonal axes)
Symmetry-distinct sites (fractional):
Cs (0.0000, 0.0000, 0.0000) (multiplicity 3)  12 Cl 3.89-3.94
Ge (0.0000, 0.0000, 0.5133) (multiplicity 3)  3 Cl 2.41
Cl (0.1824, 0.3649, 0.3144) (multiplicity 9)  1 Ge 2.41

No. 12
CsMgH12Cl3O6 | PBE | relaxed

Crystal system: triclinic
ΔH_f (0 K): -1.43 eV/atom
Size of the total moment: 0.00 μB/cell
Energy with MP2020 corrections: -4.844 eV per atom

a = 6.8318 Å, b = 6.8663 Å, c = 13.7072 Å
α = 89.74°, β = 89.93°, γ = 89.41°
Last column: nearest neighbours and their distance in Å.
Space group P1 (No. 1)
Symmetry-distinct sites (fractional):
Cs (0.0000, 0.0000, 0.0000) (multiplicity 1)  6 Cl 3.39-3.44, 9 H 3.67-3.80
Cs (0.0124, 0.0247, 0.4979) (multiplicity 1)  6 Cl 3.40-3.45, 6 H 3.72-3.80
Mg (0.5052, 0.5064, 0.7504) (multiplicity 1)  6 O 2.08-2.11
Mg (0.5069, 0.5106, 0.2447) (multiplicity 1)  6 O 2.10-2.12
H (0.1590, 0.7073, 0.2793) (multiplicity 1)  1 O 0.98
H (0.1683, 0.2781, 0.7662) (multiplicity 1)  1 O 0.98
H (0.1678, 0.4336, 0.8501) (multiplicity 1)  1 O 0.98
H (0.1810, 0.5639, 0.3682) (multiplicity 1)  1 O 0.99
H (0.2707, 0.5536, 0.5829) (multiplicity 1)  1 O 0.99
H (0.2809, 0.1688, 0.2241) (multiplicity 1)  1 O 0.99
H (0.2866, 0.8408, 0.7870) (multiplicity 1)  1 O 0.99
H (0.3071, 0.5723, 0.0699) (multiplicity 1)  1 O 0.98
H (0.4306, 0.7178, 0.5836) (multiplicity 1)  1 O 0.98
H (0.4529, 0.1668, 0.1481) (multiplicity 1)  1 O 0.98
H (0.4526, 0.8434, 0.8670) (multiplicity 1)  1 O 0.98
H (0.4630, 0.7389, 0.0741) (multiplicity 1)  1 O 0.99
H (0.5526, 0.2789, 0.4144) (multiplicity 1)  1 O 0.99
H (0.5545, 0.1709, 0.6296) (multiplicity 1)  1 O 0.99
H (0.5621, 0.3038, 0.9216) (multiplicity 1)  1 O 0.99
H (0.5777, 0.8485, 0.3450) (multiplicity 1)  1 O 0.99
H (0.6995, 0.4551, 0.4209) (multiplicity 1)  1 O 0.98
H (0.7019, 0.1618, 0.7176) (multiplicity 1)  1 O 0.98
H (0.7398, 0.8477, 0.2634) (multiplicity 1)  1 O 0.99
H (0.7453, 0.4420, 0.9142) (multiplicity 1)  1 O 0.98
H (0.8328, 0.5800, 0.6428) (multiplicity 1)  1 O 0.99
H (0.8498, 0.4554, 0.1280) (multiplicity 1)  1 O 0.98
H (0.8534, 0.3093, 0.2162) (multiplicity 1)  1 O 0.98
H (0.8527, 0.7251, 0.7301) (multiplicity 1)  1 O 0.99
Cl (0.0027, 0.0026, 0.7494) (multiplicity 1)  4 H 2.19-2.36
Cl (0.0086, 0.0109, 0.2475) (multiplicity 1)  4 H 2.17-2.35
Cl (0.0228, 0.5003, 0.9922) (multiplicity 1)  4 H 2.22-2.28
Cl (0.5032, 0.0234, 0.0005) (multiplicity 1)  4 H 2.21-2.28
Cl (0.5099, 0.0011, 0.4929) (multiplicity 1)  4 H 2.21-2.37
Cl (0.9927, 0.5225, 0.5030) (multiplicity 1)  4 H 2.21-2.35
O (0.2311, 0.3984, 0.7880) (multiplicity 1)  2 H 0.98
O (0.2329, 0.5928, 0.3026) (multiplicity 1)  2 H 0.98-0.99
O (0.3924, 0.5951, 0.6151) (multiplicity 1)  2 H 0.98-0.99
O (0.4052, 0.2333, 0.2071) (multiplicity 1)  2 H 0.98-0.99
O (0.4075, 0.7734, 0.8094) (multiplicity 1)  2 H 0.98-0.99
O (0.4232, 0.6161, 0.1058) (multiplicity 1)  2 H 0.98-0.99
O (0.5849, 0.4066, 0.3853) (multiplicity 1)  2 H 0.98-0.99
O (0.5861, 0.2321, 0.6925) (multiplicity 1)  2 H 0.98-0.99
O (0.6148, 0.4176, 0.8868) (multiplicity 1)  2 H 0.98-0.99
O (0.6153, 0.7861, 0.2830) (multiplicity 1)  2 H 0.99
O (0.7784, 0.6112, 0.7076) (multiplicity 1)  2 H 0.99
O (0.7826, 0.4226, 0.1891) (multiplicity 1)  2 H 0.98

No. 13
Cs5Te3H4NCl18 | PBE | relaxed

Crystal system: trigonal
ΔH_f (0 K): -1.47 eV/atom
Largest piezoelectric modulus: 0.76 C/m²
Size of the total moment: 0.00 μB/cell
Energy with MP2020 corrections: -3.703 eV per atom

a = 7.5220 Å, b = 7.5220 Å, c = 18.4267 Å
α = 90.00°, β = 90.00°, γ = 120.00°
Last column: nearest neighbours and their distance in Å.
Space group P3m1 (No. 156)
Symmetry-distinct sites (fractional):
Cs (0.0000, 0.0000, 0.0000) (multiplicity 1)  12 Cl 3.76-3.77
Cs (0.0000, 0.0000, 0.5001) (multiplicity 1)  12 Cl 3.76
Cs (0.3333, 0.6667, 0.3333) (multiplicity 1)  12 Cl 3.76-3.77
Cs (0.3333, 0.6667, 0.8333) (multiplicity 1)  12 Cl 3.76
Cs (0.6667, 0.3333, 0.1667) (multiplicity 1)  12 Cl 3.76
Te (0.0000, 0.0000, 0.2500) (multiplicity 1)  6 Cl 2.58
Te (0.3333, 0.6667, 0.5836) (multiplicity 1)  6 Cl 2.58
Te (0.6667, 0.3333, 0.9164) (multiplicity 1)  6 Cl 2.58
H (0.5165, 0.2583, 0.6854) (multiplicity 3)  1 N 1.04
H (0.6667, 0.3333, 0.6102) (multiplicity 1)  1 N 1.05
N (0.6667, 0.3333, 0.6669) (multiplicity 1)  4 H 1.04-1.05
Cl (0.0098, 0.5049, 0.5030) (multiplicity 3)  1 Te 2.58
Cl (0.1614, 0.3228, 0.1693) (multiplicity 3)  1 Te 2.58
Cl (0.1716, 0.3433, 0.6642) (multiplicity 3)  1 Te 2.58
Cl (0.3228, 0.1614, 0.3307) (multiplicity 3)  1 Te 2.58
Cl (0.3442, 0.1721, 0.8355) (multiplicity 3)  1 Te 2.58
Cl (0.5053, 0.0107, 0.9973) (multiplicity 3)  1 Te 2.58

No. 14
Cs2TeH6Cl2O6 | PBE | relaxed

Crystal system: monoclinic
ΔH_f (0 K): -1.45 eV/atom
Size of the total moment: 0.00 μB/cell
Energy with MP2020 corrections: -4.906 eV per atom

a = 6.4756 Å, b = 11.2785 Å, c = 7.9830 Å
α = 90.00°, β = 107.59°, γ = 90.00°
Last column: nearest neighbours and their distance in Å.
Space group P2_1/c (No. 14)
Symmetry-distinct sites (fractional):
Cs (0.2498, 0.1285, 0.0605) (multiplicity 4)  5 O 3.24-3.53, 3 H 3.36-3.42, 2 Cl 3.44-3.58
Te (0.0000, 0.0000, 0.5000) (multiplicity 2)  6 O 1.95-1.96
H (0.1514, 0.6468, 0.8308) (multiplicity 4)  1 O 1.00
H (0.2164, 0.6530, 0.1990) (multiplicity 4)  1 O 0.99
H (0.3755, 0.0819, 0.5722) (multiplicity 4)  1 O 0.99
Cl (0.3756, 0.6721, 0.6967) (multiplicity 4)  3 H 2.07-2.29
O (0.0138, 0.6417, 0.8631) (multiplicity 4)  1 H 1.00
O (0.1683, 0.5727, 0.2227) (multiplicity 4)  1 H 0.99
O (0.2604, 0.0670, 0.4597) (multiplicity 4)  1 H 0.99